(1)
This record from the Materials Project describes a relaxed structure of Be5Co. The functional is PBE-GGA.

abc: 5.7658 5.7658 5.7658
angles: 90.00 90.00 90.00
Last column: nearest neighbours and their distance in Å.
Space group F-43m (No. 216)
One atom of each set of equivalent atoms:
1 Be 0.0000 0.0000 0.0000 x4  12 Be 2.39, 4 Co 2.50
2 Be 0.1244 0.1244 0.6244 x16  6 Be 2.03-2.05
3 Co 0.2500 0.2500 0.2500 x4  16 Be 2.39-2.50

The formation energy from the elements comes out at -192 meV per atom. The calculation puts the final energy at -4.493 eV/atom. For the calculated volume, the calculation gives 7.99 A^3/atom.

***

(2)
This record from the Materials Project describes a relaxed structure of PbS2N3. The functional is PBE-GGA.

abc: 6.2753 16.5492 6.0100
angles: 90.00 93.96 90.00
Last column: nearest neighbours and their distance in Å.
Space group P2_1/c (No. 14)
One atom of each set of equivalent atoms:
1 Pb 0.2231 0.0654 0.3035 x4  2 N 2.27-2.40
2 S 0.3591 0.5588 0.3043 x4  1 N 1.66
3 S 0.3792 0.6789 0.9694 x4  2 N 1.53-1.62
4 N 0.1314 0.1625 0.0166 x4  1 Pb 2.40
5 N 0.2404 0.6278 0.1381 x4  2 S 1.62-1.66
6 N 0.3827 0.1605 0.5314 x4  1 S 1.53

The magnetization is 3.000 μB/f.u. The formation energy from the elements comes out at 939 meV per atom. The calculation puts the final energy at -5.046 eV/atom. For the calculated volume, the calculation gives 25.94 A^3/atom.